DFT (GGA+U) results for an optimized crystal structure of NiPO4.

Values from the calculation:
Space-group type: Cc, No. 9
MP2020-corrected energy (eV/atom): -6.67
DFT formation energy (eV/atom): -1.50

Cell: 10.059 10.059 17.328 Å, 72.17 72.17 59.26°
Positions (direct):
Ni: 0.001 0.130 0.315
O: 0.345 0.065 0.600
O: 0.218 0.887 0.631
O: 0.227 0.593 0.354
O: 0.484 0.573 0.604
O: 0.259 0.384 0.632
O: 0.831 0.877 0.955
O: 0.723 0.888 0.633
O: 0.838 0.421 0.804
O: 0.378 0.828 0.455
O: 0.117 0.593 0.206
P: 0.688 0.061 0.623
P: 0.563 0.629 0.125
O: 0.757 0.388 0.634
O: 0.331 0.337 0.956
P: 0.437 0.875 0.874
O: 0.841 0.922 0.803
O: 0.839 0.333 0.455
P: 0.629 0.563 0.625
O: 0.984 0.640 0.883
O: 0.330 0.089 0.353
O: 0.089 0.330 0.853
O: 0.337 0.331 0.456
O: 0.593 0.725 0.853
Ni: 0.875 0.249 0.562
O: 0.141 0.981 0.384
P: 0.185 0.059 0.624
O: 0.877 0.831 0.455
Ni: 0.129 0.500 0.813
O: 0.388 0.757 0.134
Ni: 0.249 0.875 0.062
P: 0.434 0.374 0.875
P: 0.059 0.185 0.124
Ni: 0.500 0.129 0.313
O: 0.477 0.499 0.881
O: 0.092 0.829 0.854
O: 0.176 0.087 0.057
O: 0.340 0.435 0.804
O: 0.593 0.117 0.706
O: 0.087 0.176 0.557
Ni: 0.748 0.814 0.062
O: 0.671 0.687 0.053
Ni: 0.130 0.001 0.815
O: 0.086 0.608 0.709
O: 0.670 0.185 0.056
O: 0.573 0.484 0.104
O: 0.107 0.091 0.209
O: 0.828 0.378 0.955
P: 0.558 0.129 0.125
O: 0.588 0.621 0.706
O: 0.499 0.477 0.381
Ni: 0.814 0.748 0.562
P: 0.317 0.933 0.375
P: 0.129 0.558 0.625
Ni: 0.626 0.558 0.812
O: 0.888 0.723 0.133
O: 0.829 0.092 0.354
O: 0.435 0.340 0.304
O: 0.482 0.996 0.881
O: 0.938 0.341 0.304
Ni: 0.314 0.746 0.562
O: 0.984 0.570 0.602
O: 0.725 0.593 0.353
O: 0.333 0.839 0.955
P: 0.817 0.936 0.374
O: 0.091 0.107 0.709
O: 0.846 0.070 0.597
P: 0.936 0.817 0.874
Ni: 0.376 0.242 0.562
O: 0.070 0.846 0.097
Ni: 0.629 0.059 0.813
O: 0.570 0.984 0.102
O: 0.185 0.670 0.556
O: 0.065 0.345 0.100
O: 0.981 0.141 0.884
O: 0.341 0.938 0.804
P: 0.933 0.317 0.875
Ni: 0.059 0.629 0.313
O: 0.922 0.841 0.303
P: 0.875 0.437 0.374
O: 0.421 0.838 0.304
O: 0.593 0.227 0.854
O: 0.887 0.218 0.131
O: 0.588 0.172 0.555
Ni: 0.746 0.314 0.062
P: 0.061 0.688 0.123
O: 0.608 0.086 0.209
P: 0.374 0.434 0.375
O: 0.640 0.984 0.383
Ni: 0.558 0.626 0.312
Ni: 0.242 0.376 0.062
O: 0.687 0.671 0.553
O: 0.384 0.259 0.132
O: 0.996 0.482 0.381
O: 0.621 0.588 0.206
O: 0.172 0.588 0.055